No. 1
# FeH14C3Br3NO2

A relaxed FeH14C3Br3NO2 crystal (PBE with a Hubbard U, the Materials Project database).

The structure in CIF format:
```
data_FeH14C3Br3NO2
_chemical_formula_sum 'Fe4 H56 C12 Br12 N4 O8'
_symmetry_space_group_name_H-M 'P n m a'
_symmetry_Int_Tables_number 62
_cell_length_a 17.465
_cell_length_b 7.644
_cell_length_c 8.581
_cell_angle_alpha 90.00
_cell_angle_beta 90.00
_cell_angle_gamma 90.00
loop_
_symmetry_equiv_pos_as_xyz
'x,y,z'
'-x,-y,-z'
'-x+1/2,-y,z+1/2'
'x+1/2,y,-z+1/2'
'x+1/2,-y+1/2,-z+1/2'
'-x+1/2,y+1/2,z+1/2'
'-x,y+1/2,-z'
'x,-y+1/2,z'
loop_
_atom_site_label
_atom_site_type_symbol
_atom_site_fract_x
_atom_site_fract_y
_atom_site_fract_z
_atom_site_occupancy
Fe1 Fe 0.000 0.000 0.000 1
H1 H 0.020 0.102 0.299 1
H2 H 0.032 0.066 0.698 1
H3 H 0.131 0.750 0.760 1
H4 H 0.134 0.632 0.499 1
H5 H 0.191 0.027 0.718 1
H6 H 0.219 0.085 0.190 1
H7 H 0.222 0.750 0.467 1
H8 H 0.233 0.593 0.876 1
C1 C 0.167 0.750 0.529 1
C2 C 0.225 0.588 0.750 1
Br1 Br 0.081 0.250 0.502 1
Br2 Br 0.103 0.750 0.072 1
Br3 Br 0.104 0.250 0.000 1
N1 N 0.183 0.750 0.701 1
O1 O 0.021 0.540 0.760 1
```



No. 2
# Fe3PWC15BrO15

A relaxed Fe3PWC15BrO15 crystal (PBE with a Hubbard U, the Materials Project database).

The structure in CIF format:
```
data_Fe3PWC15BrO15
_chemical_formula_sum 'Fe12 P4 W4 C60 Br4 O60'
_symmetry_space_group_name_H-M 'P 1 21/c 1'
_symmetry_Int_Tables_number 14
_cell_length_a 9.225
_cell_length_b 28.677
_cell_length_c 13.044
_cell_angle_alpha 90.00
_cell_angle_beta 134.22
_cell_angle_gamma 90.00
loop_
_symmetry_equiv_pos_as_xyz
'x,y,z'
'-x,-y,-z'
'-x,y+1/2,-z+1/2'
'x,-y+1/2,z+1/2'
loop_
_atom_site_label
_atom_site_type_symbol
_atom_site_fract_x
_atom_site_fract_y
_atom_site_fract_z
_atom_site_occupancy
Fe1 Fe 0.021 0.188 0.210 1
Fe2 Fe 0.026 0.042 0.207 1
Fe3 Fe 0.162 0.570 0.220 1
P1 P 0.055 0.114 0.294 1
W1 W 0.390 0.160 0.511 1
C1 C 0.076 0.016 0.861 1
C2 C 0.083 0.702 0.215 1
C3 C 0.099 0.247 0.219 1
C4 C 0.137 0.567 0.469 1
C5 C 0.142 0.161 0.157 1
C6 C 0.172 0.592 0.096 1
C7 C 0.225 0.688 0.469 1
C8 C 0.248 0.038 0.238 1
C9 C 0.307 0.133 0.614 1
C10 C 0.319 0.518 0.290 1
C11 C 0.324 0.669 0.791 1
C12 C 0.330 0.226 0.540 1
C13 C 0.368 0.605 0.367 1
C14 C 0.486 0.595 0.964 1
C15 C 0.488 0.689 0.061 1
Br1 Br 0.139 0.020 0.436 1
O1 O 0.135 0.054 0.904 1
O2 O 0.146 0.215 0.723 1
O3 O 0.155 0.711 0.172 1
O4 O 0.159 0.676 0.683 1
O5 O 0.188 0.607 0.022 1
O6 O 0.214 0.144 0.122 1
O7 O 0.240 0.583 0.582 1
O8 O 0.271 0.119 0.677 1
O9 O 0.312 0.237 0.067 1
O10 O 0.384 0.689 0.583 1
O11 O 0.386 0.036 0.251 1
O12 O 0.399 0.561 0.933 1
O13 O 0.405 0.705 0.090 1
O14 O 0.418 0.015 0.836 1
O15 O 0.498 0.127 0.038 1
```



No. 3
# MnH28C12Br2N8O2

A relaxed MnH28C12Br2N8O2 crystal (PBE with a Hubbard U, the Materials Project database).

The structure in CIF format:
```
data_MnH28C12Br2N8O2
_chemical_formula_sum 'Mn4 H112 C48 Br8 N32 O8'
_symmetry_space_group_name_H-M 'P n a 21'
_symmetry_Int_Tables_number 33
_cell_length_a 22.467
_cell_length_b 7.468
_cell_length_c 12.120
_cell_angle_alpha 90.00
_cell_angle_beta 90.00
_cell_angle_gamma 90.00
loop_
_symmetry_equiv_pos_as_xyz
'x,y,z'
'-x,-y,z+1/2'
'-x+1/2,y+1/2,z+1/2'
'x+1/2,-y+1/2,z'
loop_
_atom_site_label
_atom_site_type_symbol
_atom_site_fract_x
_atom_site_fract_y
_atom_site_fract_z
_atom_site_occupancy
Mn1 Mn 0.119 0.013 0.000 1
H1 H 0.002 0.953 0.806 1
H2 H 0.013 0.140 0.600 1
H3 H 0.024 0.465 0.792 1
H4 H 0.035 0.305 0.023 1
H5 H 0.037 0.999 0.489 1
H6 H 0.045 0.444 0.608 1
H7 H 0.050 0.251 0.149 1
H8 H 0.052 0.585 0.319 1
H9 H 0.055 0.779 0.782 1
H10 H 0.059 0.626 0.067 1
H11 H 0.086 0.588 0.930 1
H12 H 0.091 0.535 0.501 1
H13 H 0.099 0.121 0.344 1
H14 H 0.122 0.351 0.353 1
H15 H 0.139 0.866 0.656 1
H16 H 0.154 0.437 0.063 1
H17 H 0.164 0.637 0.664 1
H18 H 0.166 0.046 0.502 1
H19 H 0.181 0.251 0.217 1
H20 H 0.184 0.391 0.929 1
H21 H 0.200 0.825 0.851 1
H22 H 0.206 0.725 0.970 1
H23 H 0.208 0.105 0.680 1
H24 H 0.211 0.954 0.393 1
H25 H 0.215 0.561 0.204 1
H26 H 0.225 0.515 0.520 1
H27 H 0.233 0.073 0.199 1
H28 H 0.246 0.652 0.405 1
C1 C 0.016 0.492 0.338 1
C2 C 0.016 0.816 0.829 1
C3 C 0.024 0.136 0.512 1
C4 C 0.047 0.628 0.979 1
C5 C 0.055 0.441 0.519 1
C6 C 0.086 0.256 0.370 1
C7 C 0.176 0.773 0.637 1
C8 C 0.194 0.393 0.018 1
C9 C 0.203 0.954 0.483 1
C10 C 0.222 0.209 0.173 1
C11 C 0.237 0.651 0.494 1
C12 C 0.245 0.015 0.661 1
Br1 Br 0.111 0.179 0.808 1
Br2 Br 0.125 0.847 0.193 1
N1 N 0.001 0.500 0.457 1
N2 N 0.031 0.815 0.949 1
N3 N 0.033 0.309 0.303 1
N4 N 0.073 0.259 0.488 1
N5 N 0.187 0.771 0.517 1
N6 N 0.208 0.206 0.053 1
N7 N 0.229 0.833 0.700 1
N8 N 0.243 0.518 0.041 1
O1 O 0.058 0.218 0.071 1
O2 O 0.182 0.812 0.925 1
```



Going through the records in order, we get E values of -4.8596, -7.1745, -5.7476 eV per atom.